VASP calculation (GGA-PBE) on a relaxed structure of Rb3PrF6.

As for the calculated volume: 27.6 A^3/atom. As for the energy of formation: -3.42 eV/atom. The value obtained for the total energy is -101.261 eV per cell. The total magnetization comes out at 0.0000 μB/atom.

It has space group I4/mmm (No. 139), with a = 7.528 Å, b = 7.528 Å, c = 9.751 Å, α = 90.00°, β = 90.00° and γ = 90.00°. Symmetry generates all atoms from Rb at (0.000, 0.000, 0.000), Rb at (0.000, 0.500, 0.250), Pr at (0.000, 0.000, 0.500), F at (0.000, 0.000, 0.262) and F at (0.000, 0.308, 0.500).